A relaxed Li7Mn2P7O24 crystal. Source: Materials Project, functional GGA+U.

* DFT formation energy: -2.5841 eV/atom
* crystal system: monoclinic
* total energy: -543.74 eV for the cell shown
* corrected total energy (MP2020 scheme): -583.388 eV for the cell shown

Lattice parameters (Å, degrees): 14.861 5.001 12.616 90.00 98.59 90.00
Atoms (fractional coordinates):
Li 0.000 0.209 0.250
Li 0.000 0.791 0.750
Li 0.098 0.313 0.933
Li 0.098 0.687 0.433
Li 0.361 0.325 0.106
Li 0.361 0.675 0.606
Li 0.445 0.247 0.481
Li 0.445 0.753 0.981
Li 0.555 0.247 0.019
Li 0.555 0.753 0.519
Li 0.639 0.325 0.394
Li 0.639 0.675 0.894
Li 0.902 0.313 0.567
Li 0.902 0.687 0.067
Mn 0.219 0.144 0.294
Mn 0.219 0.856 0.794
Mn 0.781 0.144 0.206
Mn 0.781 0.856 0.706
P 0.106 0.356 0.688
P 0.106 0.644 0.188
P 0.230 0.123 0.549
P 0.230 0.877 0.049
P 0.363 0.356 0.842
P 0.363 0.644 0.342
P 0.500 0.036 0.750
P 0.500 0.964 0.250
P 0.637 0.356 0.658
P 0.637 0.644 0.158
P 0.770 0.123 0.951
P 0.770 0.877 0.451
P 0.894 0.356 0.812
P 0.894 0.644 0.312
O 0.018 0.459 0.628
O 0.018 0.541 0.128
O 0.101 0.070 0.734
O 0.101 0.930 0.234
O 0.141 0.450 0.283
O 0.141 0.550 0.783
O 0.158 0.045 0.453
O 0.158 0.955 0.953
O 0.181 0.363 0.611
O 0.181 0.637 0.111
O 0.251 0.107 0.129
O 0.251 0.893 0.629
O 0.282 0.173 0.844
O 0.282 0.827 0.344
O 0.313 0.262 0.520
O 0.313 0.738 0.020
O 0.333 0.365 0.300
O 0.333 0.635 0.800
O 0.417 0.245 0.748
O 0.417 0.755 0.248
O 0.427 0.357 0.947
O 0.427 0.643 0.447
O 0.481 0.113 0.145
O 0.481 0.887 0.645
O 0.519 0.113 0.355
O 0.519 0.887 0.855
O 0.573 0.357 0.553
O 0.573 0.643 0.053
O 0.583 0.245 0.752
O 0.583 0.755 0.252
O 0.667 0.365 0.200
O 0.667 0.635 0.700
O 0.687 0.262 0.980
O 0.687 0.738 0.480
O 0.718 0.173 0.656
O 0.718 0.827 0.156
O 0.749 0.107 0.371
O 0.749 0.893 0.871
O 0.819 0.363 0.889
O 0.819 0.637 0.389
O 0.842 0.045 0.047
O 0.842 0.955 0.547
O 0.859 0.450 0.217
O 0.859 0.550 0.717
O 0.899 0.070 0.766
O 0.899 0.930 0.266
O 0.982 0.459 0.872
O 0.982 0.541 0.372


A relaxed NaLaV4O12 crystal. Source: Materials Project, functional GGA+U.

* DFT formation energy: -2.5115 eV/atom
* crystal system: orthorhombic
* total energy: -132.13 eV for the cell shown
* corrected total energy (MP2020 scheme): -147.177 eV for the cell shown

Lattice parameters (Å, degrees): 7.408 5.585 5.585 81.46 90.00 90.00
Atoms (fractional coordinates):
Na 0.000 0.000 0.000
La 0.500 0.483 0.483
V 0.244 0.490 0.982
V 0.244 0.982 0.490
V 0.756 0.490 0.982
V 0.756 0.982 0.490
O 0.000 0.047 0.486
O 0.000 0.486 0.047
O 0.222 0.787 0.787
O 0.251 0.303 0.772
O 0.251 0.772 0.303
O 0.279 0.276 0.276
O 0.500 0.001 0.552
O 0.500 0.552 0.001
O 0.721 0.276 0.276
O 0.749 0.303 0.772
O 0.749 0.772 0.303
O 0.778 0.787 0.787


A relaxed Li2V3SnO8 crystal. Source: Materials Project, functional GGA+U.

* DFT formation energy: -2.4115 eV/atom
* crystal system: triclinic
* total energy: -195.66 eV for the cell shown
* corrected total energy (MP2020 scheme): -216.848 eV for the cell shown
* excess energy over the best structure of this formula in the dataset: 17.7 meV per atom

Lattice parameters (Å, degrees): 6.009 6.169 10.456 106.23 90.01 119.09
Atoms (fractional coordinates):
Li 0.064 0.134 0.188
Li 0.429 0.866 0.312
Li 0.571 0.134 0.688
Li 0.936 0.866 0.812
V 0.000 0.500 0.000
V 0.000 0.500 0.500
V 0.255 0.499 0.750
V 0.500 0.500 0.000
V 0.500 0.500 0.500
V 0.745 0.501 0.250
Sn 0.000 0.000 0.500
Sn 0.500 0.000 0.000
O 0.092 0.732 0.379
O 0.138 0.731 0.880
O 0.142 0.269 0.391
O 0.164 0.300 0.888
O 0.365 0.700 0.612
O 0.369 0.268 0.617
O 0.377 0.734 0.109
O 0.400 0.269 0.117
O 0.600 0.731 0.883
O 0.623 0.266 0.891
O 0.631 0.732 0.383
O 0.635 0.300 0.388
O 0.836 0.700 0.112
O 0.858 0.731 0.609
O 0.862 0.269 0.120
O 0.908 0.268 0.621


A relaxed CaTiMoP3O12 crystal. Source: Materials Project, functional GGA+U.

* DFT formation energy: -2.9137 eV/atom
* crystal system: trigonal
* total energy: -274.72 eV for the cell shown
* corrected total energy (MP2020 scheme): -297.616 eV for the cell shown

Lattice parameters (Å, degrees): 8.978 8.978 8.978 58.57 58.57 58.57
Atoms (fractional coordinates):
Ca 0.000 0.000 0.000
Ca 0.500 0.500 0.500
Ti 0.351 0.351 0.351
Ti 0.851 0.851 0.851
Mo 0.144 0.144 0.144
Mo 0.644 0.644 0.644
P 0.045 0.461 0.741
P 0.241 0.961 0.545
P 0.461 0.741 0.045
P 0.545 0.241 0.961
P 0.741 0.045 0.461
P 0.961 0.545 0.241
O 0.000 0.627 0.792
O 0.069 0.274 0.904
O 0.073 0.948 0.731
O 0.127 0.500 0.292
O 0.195 0.988 0.392
O 0.231 0.448 0.573
O 0.274 0.904 0.069
O 0.292 0.127 0.500
O 0.392 0.195 0.988
O 0.404 0.774 0.569
O 0.448 0.573 0.231
O 0.488 0.695 0.892
O 0.500 0.292 0.127
O 0.569 0.404 0.774
O 0.573 0.231 0.448
O 0.627 0.792 0.000
O 0.695 0.892 0.488
O 0.731 0.073 0.948
O 0.774 0.569 0.404
O 0.792 0.000 0.627
O 0.892 0.488 0.695
O 0.904 0.069 0.274
O 0.948 0.731 0.073
O 0.988 0.392 0.195


A relaxed Na2V3O7 crystal. Source: Materials Project, functional GGA+U.

* DFT formation energy: -2.4236 eV/atom
* crystal system: trigonal
* total energy: -502.24 eV for the cell shown
* corrected total energy (MP2020 scheme): -561.696 eV for the cell shown

Lattice parameters (Å, degrees): 11.105 11.105 9.691 90.00 90.00 120.00
Atoms (fractional coordinates):
Na 0.000 0.000 0.000
Na 0.000 0.000 0.500
Na 0.024 0.510 0.243
Na 0.333 0.667 0.564
Na 0.333 0.667 0.929
Na 0.486 0.976 0.243
Na 0.490 0.514 0.243
Na 0.510 0.024 0.743
Na 0.514 0.490 0.743
Na 0.667 0.333 0.064
Na 0.667 0.333 0.429
Na 0.976 0.486 0.743
V 0.120 0.317 0.398
V 0.120 0.803 0.097
V 0.157 0.314 0.748
V 0.157 0.843 0.748
V 0.197 0.317 0.097
V 0.197 0.880 0.398
V 0.314 0.157 0.248
V 0.317 0.120 0.898
V 0.317 0.197 0.597
V 0.683 0.803 0.398
V 0.683 0.880 0.097
V 0.686 0.843 0.748
V 0.803 0.120 0.597
V 0.803 0.683 0.898
V 0.843 0.157 0.248
V 0.843 0.686 0.248
V 0.880 0.197 0.898
V 0.880 0.683 0.597
O 0.040 0.297 0.209
O 0.040 0.742 0.287
O 0.072 0.242 0.931
O 0.072 0.829 0.565
O 0.154 0.479 0.434
O 0.156 0.677 0.061
O 0.170 0.928 0.931
O 0.171 0.243 0.565
O 0.242 0.072 0.431
O 0.243 0.171 0.065
O 0.243 0.488 0.747
O 0.245 0.757 0.747
O 0.257 0.960 0.209
O 0.258 0.298 0.287
O 0.297 0.040 0.709
O 0.298 0.258 0.787
O 0.323 0.479 0.061
O 0.324 0.846 0.434
O 0.479 0.154 0.934
O 0.479 0.323 0.561
O 0.488 0.243 0.247
O 0.512 0.755 0.747
O 0.521 0.676 0.434
O 0.521 0.844 0.061
O 0.676 0.521 0.934
O 0.677 0.156 0.561
O 0.702 0.960 0.287
O 0.703 0.743 0.209
O 0.742 0.040 0.787
O 0.743 0.703 0.709
O 0.755 0.512 0.247
O 0.757 0.245 0.247
O 0.757 0.928 0.565
O 0.758 0.830 0.931
O 0.829 0.072 0.065
O 0.830 0.758 0.431
O 0.844 0.521 0.561
O 0.846 0.324 0.934
O 0.928 0.170 0.431
O 0.928 0.757 0.065
O 0.960 0.257 0.709
O 0.960 0.702 0.787


A relaxed Sr2Mn3P4H2O16 crystal. Source: Materials Project, functional GGA+U.

* DFT formation energy: -2.6879 eV/atom
* crystal system: monoclinic
* total energy: -390.10 eV for the cell shown
* corrected total energy (MP2020 scheme): -422.090 eV for the cell shown

Lattice parameters (Å, degrees): 8.022 8.893 9.722 90.00 101.53 90.00
Atoms (fractional coordinates):
Sr 0.074 0.024 0.235
Sr 0.074 0.476 0.735
Sr 0.926 0.524 0.265
Sr 0.926 0.976 0.765
Mn 0.398 0.644 0.405
Mn 0.398 0.856 0.905
Mn 0.500 0.000 0.500
Mn 0.500 0.500 0.000
Mn 0.602 0.144 0.095
Mn 0.602 0.356 0.595
P 0.156 0.715 0.065
P 0.156 0.785 0.565
P 0.355 0.202 0.770
P 0.355 0.298 0.270
P 0.645 0.702 0.730
P 0.645 0.798 0.230
P 0.844 0.215 0.435
P 0.844 0.285 0.935
H 0.099 0.160 0.568
H 0.099 0.340 0.068
H 0.901 0.660 0.932
H 0.901 0.840 0.432
O 0.035 0.153 0.464
O 0.035 0.347 0.964
O 0.152 0.618 0.519
O 0.152 0.882 0.019
O 0.158 0.173 0.722
O 0.158 0.327 0.222
O 0.206 0.693 0.224
O 0.206 0.807 0.724
O 0.262 0.626 0.976
O 0.262 0.874 0.476
O 0.377 0.131 0.317
O 0.377 0.369 0.817
O 0.432 0.094 0.891
O 0.432 0.406 0.391
O 0.442 0.179 0.642
O 0.442 0.321 0.142
O 0.558 0.679 0.858
O 0.558 0.821 0.358
O 0.568 0.594 0.609
O 0.568 0.906 0.109
O 0.623 0.631 0.183
O 0.623 0.869 0.683
O 0.738 0.126 0.524
O 0.738 0.374 0.024
O 0.794 0.193 0.276
O 0.794 0.307 0.776
O 0.842 0.673 0.778
O 0.842 0.827 0.278
O 0.848 0.118 0.981
O 0.848 0.382 0.481
O 0.965 0.653 0.036
O 0.965 0.847 0.536


A relaxed Fe35O36 crystal. Source: Materials Project, functional GGA+U.

* DFT formation energy: -0.7140 eV/atom
* crystal system: triclinic
* total energy: -421.58 eV for the cell shown
* corrected total energy (MP2020 scheme): -525.275 eV for the cell shown

Lattice parameters (Å, degrees): 9.267 9.748 9.783 101.61 108.55 108.06
Atoms (fractional coordinates):
Fe 0.000 0.000 0.000
Fe 0.000 0.250 0.256
Fe 0.010 0.746 0.754
Fe 0.016 0.511 0.509
Fe 0.108 0.089 0.752
Fe 0.111 0.581 0.249
Fe 0.113 0.333 0.003
Fe 0.116 0.835 0.513
Fe 0.221 0.428 0.754
Fe 0.224 0.914 0.254
Fe 0.227 0.169 0.506
Fe 0.234 0.675 0.002
Fe 0.330 0.994 0.991
Fe 0.331 0.253 0.252
Fe 0.339 0.509 0.518
Fe 0.437 0.829 0.509
Fe 0.445 0.332 0.004
Fe 0.446 0.073 0.752
Fe 0.449 0.587 0.258
Fe 0.550 0.668 0.992
Fe 0.556 0.917 0.257
Fe 0.559 0.166 0.505
Fe 0.561 0.413 0.754
Fe 0.654 0.988 0.997
Fe 0.663 0.754 0.754
Fe 0.664 0.499 0.506
Fe 0.672 0.253 0.254
Fe 0.779 0.331 0.003
Fe 0.779 0.582 0.255
Fe 0.780 0.836 0.505
Fe 0.783 0.085 0.753
Fe 0.887 0.669 0.001
Fe 0.888 0.167 0.502
Fe 0.889 0.419 0.756
Fe 0.890 0.917 0.252
O 0.001 0.502 0.999
O 0.097 0.071 0.248
O 0.105 0.579 0.756
O 0.111 0.834 0.011
O 0.116 0.328 0.501
O 0.217 0.664 0.491
O 0.218 0.933 0.751
O 0.225 0.417 0.260
O 0.239 0.178 0.006
O 0.329 0.004 0.497
O 0.335 0.749 0.252
O 0.339 0.259 0.770
O 0.340 0.489 0.011
O 0.449 0.839 0.015
O 0.450 0.336 0.500
O 0.452 0.090 0.255
O 0.456 0.572 0.756
O 0.548 0.411 0.235
O 0.549 0.177 0.002
O 0.554 0.666 0.498
O 0.580 0.931 0.757
O 0.661 0.246 0.747
O 0.665 0.494 0.010
O 0.665 0.993 0.507
O 0.678 0.761 0.245
O 0.778 0.593 0.755
O 0.784 0.073 0.250
O 0.786 0.839 0.018
O 0.789 0.336 0.509
O 0.878 0.664 0.498
O 0.885 0.412 0.255
O 0.891 0.171 0.005
O 0.895 0.918 0.759
O 0.992 0.999 0.487
O 0.995 0.243 0.753
O 0.997 0.758 0.259


A relaxed Li2Mn3FeO8 crystal. Source: Materials Project, functional GGA+U.

* DFT formation energy: -1.9377 eV/atom
* crystal system: trigonal
* total energy: -93.73 eV for the cell shown
* corrected total energy (MP2020 scheme): -106.485 eV for the cell shown
* excess energy over the best structure of this formula in the dataset: 66.3 meV per atom

Lattice parameters (Å, degrees): 5.915 5.915 5.915 60.20 60.20 60.20
Atoms (fractional coordinates):
Li 0.000 0.000 0.000
Li 0.382 0.382 0.382
Mn 0.000 0.000 0.487
Mn 0.000 0.487 0.000
Mn 0.487 0.000 0.000
Fe 0.615 0.615 0.615
O 0.219 0.748 0.748
O 0.239 0.239 0.239
O 0.245 0.245 0.789
O 0.245 0.789 0.245
O 0.748 0.219 0.748
O 0.748 0.748 0.219
O 0.753 0.753 0.753
O 0.789 0.245 0.245


A relaxed Mn3NbF6 crystal. Source: Materials Project, functional GGA+U.

* DFT formation energy: -1.8977 eV/atom
* crystal system: triclinic
* total energy: -60.28 eV for the cell shown
* corrected total energy (MP2020 scheme): -68.051 eV for the cell shown

Lattice parameters (Å, degrees): 5.924 7.849 8.014 81.90 72.47 68.82
Atoms (fractional coordinates):
Mn 0.000 0.000 0.000
Mn 0.000 0.500 0.500
Mn 0.500 0.000 0.000
Nb 0.000 0.500 0.000
F 0.053 0.472 0.732
F 0.134 0.710 0.936
F 0.343 0.299 0.975
F 0.657 0.701 0.025
F 0.866 0.290 0.064
F 0.947 0.528 0.268